# GGA+U Li2MnV3O8, relaxed
# Calculated formation energy ... -2.429 eV/atom
# VASP energy ... -7.2545 eV per atom
# ΔE to the lowest computed polymorph ... 8 meV/atom
data_Li2MnV3O8
_symmetry_space_group_name_H-M 'P 3 1 c'
_symmetry_Int_Tables_number 159
_cell_length_a 5.9310
_cell_length_b 5.9310
_cell_length_c 9.9289
_cell_angle_alpha 90.00
_cell_angle_beta 90.00
_cell_angle_gamma 120.00
loop_
_symmetry_equiv_pos_as_xyz
'x,y,z'
'-y,x-y,z'
'-x+y,-x,z'
'y,x,z+1/2'
'x-y,-y,z+1/2'
'-x,-x+y,z+1/2'
loop_
_atom_site_label
_atom_site_type_symbol
_atom_site_fract_x
_atom_site_fract_y
_atom_site_fract_z
Li1 Li 0.0000 0.0000 0.0000
Li2 Li 0.3333 0.6667 0.3972
Mn1 Mn 0.3333 0.6667 0.0005
V1 V 0.1582 0.8202 0.7176
O1 O 0.0000 0.0000 0.3169
O2 O 0.0336 0.5327 0.8289
O3 O 0.1417 0.3109 0.1124
O4 O 0.3333 0.6667 0.6062